## Sc2TcAu (r2SCAN)

Data for crystalline Sc2TcAu at its relaxed geometry.

- Total magnetization: 0.00 μB/cell
- Calculated density: 9.0 g cm⁻³
- E: -25.37 eV/atom
- Energy relative to the elements: -0.53 eV per atom

a b c (Å): 6.577 6.577 6.577
angles (deg): 90.00 90.00 90.00
Space group Fm-3m (No. 225)
Asymmetric unit:
Sc 0.250 0.250 0.250 (multiplicity 8)
Tc 0.000 0.000 0.000 (multiplicity 4)
Au 0.000 0.000 0.500 (multiplicity 4)